Record 1
# V6O5F19, relaxed, DFT PBE with a Hubbard U
# ρ in g cm⁻³: 2.818
# V in A^3/atom: 14.7
# Crystal system: triclinic
# Final energy in eV per atom: -5.85
# Energy of formation in eV/atom: -2.738
# Offset from the most stable computed form in meV/atom: 2
data_V6O5F19
_cell_length_a 5.3693
_cell_length_b 5.5031
_cell_length_c 15.1368
_cell_angle_alpha 79.70
_cell_angle_beta 89.95
_cell_angle_gamma 89.31
_space_group_name_H-M_alt 'P 1'
_space_group_IT_number 1
_space_group_name_Hall 'P 1'
loop_
_atom_site_label
_atom_site_type_symbol
_atom_site_fract_x
_atom_site_fract_y
_atom_site_fract_z
V1 V 0.0000 0.0000 0.0000
V2 V 0.0135 0.5833 0.6681
V3 V 0.0713 0.2933 0.3396
V4 V 0.4926 0.0529 0.6709
V5 V 0.5456 0.5029 0.9990
V6 V 0.5695 0.7497 0.3311
O1 O 0.2870 0.4972 0.3525
O2 O 0.3147 0.8075 0.6902
O3 O 0.7138 0.7554 0.9756
O4 O 0.7861 0.5412 0.3179
O5 O 0.8272 0.2543 0.9774
F1 F 0.0670 0.3111 0.2217
F2 F 0.0971 0.9513 0.8927
F3 F 0.1136 0.6570 0.5553
F4 F 0.2221 0.2852 0.6931
F5 F 0.2455 0.6200 0.0281
F6 F 0.2480 0.0036 0.3556
F7 F 0.2947 0.1172 0.0295
F8 F 0.4369 0.8300 0.2224
F9 F 0.4434 0.1731 0.5563
F10 F 0.4458 0.4486 0.8928
F11 F 0.5680 0.7285 0.4492
F12 F 0.6041 0.0765 0.7787
F13 F 0.6176 0.3765 0.1119
F14 F 0.7361 0.4092 0.6455
F15 F 0.7479 0.0325 0.3153
F16 F 0.7942 0.8969 0.6443
F17 F 0.9234 0.8693 0.1118
F18 F 0.9407 0.2118 0.4485
F19 F 0.9534 0.5760 0.7836

Record 2
# V2OF5, relaxed, DFT PBE with a Hubbard U
# ρ in g cm⁻³: 3.228
# V in A^3/atom: 13.7
# Crystal system: triclinic
# Final energy in eV per atom: -6.33
# Energy of formation in eV/atom: -3.045
# Offset from the most stable computed form in meV/atom: 0
data_V2OF5
_cell_length_a 5.2995
_cell_length_b 5.3022
_cell_length_c 13.4958
_cell_angle_alpha 89.98
_cell_angle_beta 89.98
_cell_angle_gamma 60.03
_space_group_name_H-M_alt 'P 1'
_space_group_IT_number 1
_space_group_name_Hall 'P 1'
loop_
_atom_site_label
_atom_site_type_symbol
_atom_site_fract_x
_atom_site_fract_y
_atom_site_fract_z
V1 V 0.0000 0.0000 0.0000
V2 V 0.0039 0.9756 0.4924
V3 V 0.3094 0.3452 0.3328
V4 V 0.3295 0.3510 0.8257
V5 V 0.6292 0.6760 0.1588
V6 V 0.6524 0.6563 0.6668
O1 O 0.2062 0.6945 0.4169
O2 O 0.3469 0.7588 0.0827
O3 O 0.4117 0.5512 0.7496
F1 F 0.0497 0.2667 0.4170
F2 F 0.0679 0.6659 0.9156
F3 F 0.2363 0.0929 0.9118
F4 F 0.3175 0.9234 0.5828
F5 F 0.4074 0.9934 0.2529
F6 F 0.5756 0.4155 0.2486
F7 F 0.5792 0.9807 0.7556
F8 F 0.6351 0.0970 0.4221
F9 F 0.6458 0.2547 0.9200
F10 F 0.7453 0.3275 0.5787
F11 F 0.7491 0.9268 0.0888
F12 F 0.9063 0.7572 0.5865
F13 F 0.9208 0.3396 0.0832
F14 F 0.9784 0.5858 0.2454
F15 F 0.9923 0.3970 0.7498

Record 3
# V2O3F, relaxed, DFT PBE with a Hubbard U
# ρ in g cm⁻³: 4.190
# V in A^3/atom: 11.2
# Crystal system: orthorhombic
# Final energy in eV per atom: -7.50
# Energy of formation in eV/atom: -2.666
# Offset from the most stable computed form in meV/atom: 4
data_V2O3F
_cell_length_a 9.0505
_cell_length_b 6.4099
_cell_length_c 6.9219
_cell_angle_alpha 90.00
_cell_angle_beta 90.00
_cell_angle_gamma 90.00
_space_group_name_H-M_alt 'A m m 2'
_space_group_IT_number 38
_space_group_name_Hall 'A 2 -2'
loop_
_atom_site_label
_atom_site_type_symbol
_atom_site_fract_x
_atom_site_fract_y
_atom_site_fract_z
V1 V 0.0000 0.0000 0.0000
V2 V 0.1670 0.0000 0.5493
V3 V 0.3326 0.0000 0.0948
V4 V 0.5000 0.0000 0.5439
O1 O 0.0000 0.0000 0.7437
O2 O 0.1661 0.1921 0.0482
O3 O 0.3327 0.0000 0.3526
O4 O 0.5000 0.1926 0.0543
F1 F 0.0000 0.0000 0.3517
F2 F 0.3340 0.0000 0.7478

Record 4
# V6O7F5, relaxed, DFT PBE with a Hubbard U
# ρ in g cm⁻³: 4.133
# V in A^3/atom: 11.4
# Crystal system: triclinic
# Final energy in eV per atom: -7.28
# Energy of formation in eV/atom: -2.758
# Offset from the most stable computed form in meV/atom: 4
data_V6O7F5
_cell_length_a 4.7221
_cell_length_b 5.6357
_cell_length_c 7.7671
_cell_angle_alpha 86.02
_cell_angle_beta 88.33
_cell_angle_gamma 87.54
_space_group_name_H-M_alt 'P 1'
_space_group_IT_number 1
_space_group_name_Hall 'P 1'
loop_
_atom_site_label
_atom_site_type_symbol
_atom_site_fract_x
_atom_site_fract_y
_atom_site_fract_z
V1 V 0.0000 0.0000 0.0000
V2 V 0.0020 0.6686 0.3477
V3 V 0.4954 0.5056 0.0128
V4 V 0.5295 0.8442 0.6897
V5 V 0.5549 0.1949 0.3428
V6 V 0.9651 0.3384 0.6787
O1 O 0.3082 0.4633 0.2476
O2 O 0.3100 0.8024 0.9165
O3 O 0.6945 0.8842 0.4400
O4 O 0.7029 0.5350 0.7876
O5 O 0.7111 0.2069 0.1174
O6 O 0.7987 0.3811 0.4429
O7 O 0.8106 0.0399 0.7783
F1 F 0.1998 0.6402 0.5828
F2 F 0.2029 0.3002 0.9029
F3 F 0.2030 0.9685 0.2462
F4 F 0.3088 0.1503 0.5747
F5 F 0.8090 0.7038 0.1135

Record 5
# V6O7F5, relaxed, DFT PBE with a Hubbard U
# ρ in g cm⁻³: 4.179
# V in A^3/atom: 11.3
# Crystal system: triclinic
# Final energy in eV per atom: -7.26
# Energy of formation in eV/atom: -2.739
# Offset from the most stable computed form in meV/atom: 23
data_V6O7F5
_cell_length_a 4.6628
_cell_length_b 5.6155
_cell_length_c 7.8008
_cell_angle_alpha 86.22
_cell_angle_beta 88.69
_cell_angle_gamma 88.48
_space_group_name_H-M_alt 'P 1'
_space_group_IT_number 1
_space_group_name_Hall 'P 1'
loop_
_atom_site_label
_atom_site_type_symbol
_atom_site_fract_x
_atom_site_fract_y
_atom_site_fract_z
V1 V 0.0000 0.0000 0.0000
V2 V 0.0005 0.3523 0.6897
V3 V 0.0370 0.6822 0.3690
V4 V 0.5093 0.5086 0.0265
V5 V 0.5295 0.8262 0.6898
V6 V 0.5325 0.1755 0.3362
O1 O 0.2226 0.6414 0.5934
O2 O 0.3137 0.4697 0.2561
O3 O 0.3237 0.8045 0.9169
O4 O 0.7063 0.8771 0.4534
O5 O 0.7127 0.5479 0.7922
O6 O 0.7224 0.2086 0.1128
O7 O 0.8107 0.0437 0.7730
F1 F 0.2138 0.9765 0.2423
F2 F 0.2171 0.3024 0.9145
F3 F 0.3139 0.1429 0.5795
F4 F 0.8168 0.3801 0.4543
F5 F 0.8204 0.7071 0.1277

Record 6
# V2O3F, relaxed, DFT PBE with a Hubbard U
# ρ in g cm⁻³: 4.305
# V in A^3/atom: 10.9
# Crystal system: triclinic
# Final energy in eV per atom: -7.46
# Energy of formation in eV/atom: -2.628
# Offset from the most stable computed form in meV/atom: 42
data_V2O3F
_cell_length_a 4.5856
_cell_length_b 5.5315
_cell_length_c 10.3726
_cell_angle_alpha 97.92
_cell_angle_beta 90.03
_cell_angle_gamma 90.07
_space_group_name_H-M_alt 'P -1'
_space_group_IT_number 2
_space_group_name_Hall '-P 1'
loop_
_atom_site_label
_atom_site_type_symbol
_atom_site_fract_x
_atom_site_fract_y
_atom_site_fract_z
V1 V 0.0000 0.0000 0.0000
V2 V 0.0000 0.5000 0.5000
V3 V 0.0175 0.2553 0.7623
V4 V 0.4822 0.2501 0.2632
V5 V 0.5000 0.0000 0.5000
V6 V 0.5000 0.5000 0.0000
O1 O 0.1930 0.2740 0.9263
O2 O 0.2060 0.5266 0.6795
O3 O 0.2093 0.0268 0.1752
O4 O 0.2905 0.0277 0.6745
O5 O 0.2940 0.5254 0.1798
O6 O 0.3053 0.2737 0.4274
F1 F 0.1940 0.7766 0.4207
F2 F 0.3074 0.7769 0.9203

Record 7
# V6O7F5, relaxed, DFT PBE with a Hubbard U
# ρ in g cm⁻³: 4.160
# V in A^3/atom: 11.4
# Crystal system: monoclinic
# Final energy in eV per atom: -7.28
# Energy of formation in eV/atom: -2.757
# Offset from the most stable computed form in meV/atom: 5
data_V6O7F5
_cell_length_a 6.7870
_cell_length_b 6.4936
_cell_length_c 9.2855
_cell_angle_alpha 90.00
_cell_angle_beta 90.10
_cell_angle_gamma 90.00
_space_group_name_H-M_alt 'C 1 2 1'
_space_group_IT_number 5
_space_group_name_Hall 'C 2y'
loop_
_atom_site_label
_atom_site_type_symbol
_atom_site_fract_x
_atom_site_fract_y
_atom_site_fract_z
V1 V 0.0000 0.0000 0.0000
V2 V 0.0000 0.4688 0.5000
V3 V 0.0086 0.4977 0.8264
V4 V 0.0275 0.9984 0.3255
O1 O 0.0000 0.1758 0.5000
O2 O 0.0059 0.8038 0.1583
O3 O 0.0067 0.1945 0.1558
O4 O 0.1860 0.4939 0.6660
F1 F 0.0000 0.7871 0.5000
F2 F 0.1972 0.4988 0.0030
F3 F 0.2075 0.4894 0.3336

Record 8
# V2O3F, relaxed, DFT PBE with a Hubbard U
# ρ in g cm⁻³: 4.393
# V in A^3/atom: 10.6
# Crystal system: monoclinic
# Final energy in eV per atom: -7.43
# Energy of formation in eV/atom: -2.596
# Offset from the most stable computed form in meV/atom: 73
data_V2O3F
_cell_length_a 9.4117
_cell_length_b 5.7975
_cell_length_c 10.2043
_cell_angle_alpha 90.00
_cell_angle_beta 113.47
_cell_angle_gamma 90.00
_space_group_name_H-M_alt 'C 1 2/m 1'
_space_group_IT_number 12
_space_group_name_Hall '-C 2y'
loop_
_atom_site_label
_atom_site_type_symbol
_atom_site_fract_x
_atom_site_fract_y
_atom_site_fract_z
V1 V 0.0000 0.0000 0.0000
V2 V 0.0000 0.5000 0.0000
V3 V 0.1306 0.2348 0.7527
V4 V 0.2064 0.5000 0.4728
O1 O 0.0087 0.5000 0.3424
O2 O 0.0519 0.2456 0.8990
O3 O 0.2019 0.2477 0.5969
O4 O 0.2198 0.5000 0.1493
F1 F 0.0256 0.0000 0.3529
F2 F 0.2215 0.0000 0.1472

Record 9
# V6O7F5, relaxed, DFT PBE with a Hubbard U
# ρ in g cm⁻³: 4.159
# V in A^3/atom: 11.4
# Crystal system: triclinic
# Final energy in eV per atom: -7.28
# Energy of formation in eV/atom: -2.758
# Offset from the most stable computed form in meV/atom: 4
data_V6O7F5
_cell_length_a 4.6815
_cell_length_b 5.6160
_cell_length_c 7.8029
_cell_angle_alpha 86.39
_cell_angle_beta 89.46
_cell_angle_gamma 88.94
_space_group_name_H-M_alt 'P 1'
_space_group_IT_number 1
_space_group_name_Hall 'P 1'
loop_
_atom_site_label
_atom_site_type_symbol
_atom_site_fract_x
_atom_site_fract_y
_atom_site_fract_z
V1 V 0.0000 0.0000 0.0000
V2 V 0.0021 0.6615 0.3280
V3 V 0.4479 0.1822 0.3377
V4 V 0.4733 0.5159 0.9879
V5 V 0.4906 0.8499 0.6819
V6 V 0.9435 0.3165 0.6516
O1 O 0.1690 0.9672 0.2355
O2 O 0.2624 0.1382 0.5761
O3 O 0.2836 0.8034 0.9039
O4 O 0.2865 0.4682 0.2215
O5 O 0.6879 0.5331 0.7637
O6 O 0.7808 0.3701 0.4323
O7 O 0.7818 0.0449 0.7720
F1 F 0.1707 0.3079 0.8928
F2 F 0.1855 0.6334 0.5676
F3 F 0.6727 0.2062 0.0953
F4 F 0.6760 0.8702 0.4366
F5 F 0.7822 0.7065 0.0996

Record 10
# V3O4F2, relaxed, DFT PBE with a Hubbard U
# ρ in g cm⁻³: 4.258
# V in A^3/atom: 11.0
# Crystal system: tetragonal
# Final energy in eV per atom: -7.38
# Energy of formation in eV/atom: -2.704
# Offset from the most stable computed form in meV/atom: 12
data_V3O4F2
_cell_length_a 4.6065
_cell_length_b 4.6065
_cell_length_c 9.3658
_cell_angle_alpha 90.00
_cell_angle_beta 90.00
_cell_angle_gamma 90.00
_space_group_name_H-M_alt 'P 42 n m'
_space_group_IT_number 102
_space_group_name_Hall 'P 4n -2n'
loop_
_atom_site_label
_atom_site_type_symbol
_atom_site_fract_x
_atom_site_fract_y
_atom_site_fract_z
V1 V 0.0000 0.0000 0.0000
V2 V 0.0000 0.0000 0.3156
V3 V 0.0000 0.0000 0.6832
O1 O 0.1955 0.1955 0.8334
O2 O 0.2104 0.2104 0.1557
F1 F 0.1899 0.1899 0.4965

Record 11
# VOF3, relaxed, DFT PBE with a Hubbard U
# ρ in g cm⁻³: 2.845
# V in A^3/atom: 14.5
# Crystal system: triclinic
# Final energy in eV per atom: -5.88
# Energy of formation in eV/atom: -2.682
data_VOF3
_cell_length_a 5.4205
_cell_length_b 5.5922
_cell_length_c 9.5621
_cell_angle_alpha 89.34
_cell_angle_beta 89.92
_cell_angle_gamma 86.58
_space_group_name_H-M_alt 'P 1'
_space_group_IT_number 1
_space_group_name_Hall 'P 1'
loop_
_atom_site_label
_atom_site_type_symbol
_atom_site_fract_x
_atom_site_fract_y
_atom_site_fract_z
V1 V 0.0000 0.0000 0.0000
V2 V 0.0894 0.5913 0.5155
V3 V 0.4902 0.5092 0.0112
V4 V 0.5836 0.0216 0.4974
O1 O 0.2556 0.8221 0.5430
O2 O 0.2622 0.3433 0.0374
O3 O 0.7601 0.7724 0.4756
O4 O 0.8372 0.7740 0.9728
F1 F 0.0926 0.5545 0.3320
F2 F 0.1285 0.0621 0.8338
F3 F 0.3112 0.8226 0.0490
F4 F 0.3173 0.3421 0.5393
F5 F 0.4305 0.0589 0.3345
F6 F 0.4674 0.5903 0.8316
F7 F 0.5887 0.0503 0.6813
F8 F 0.6279 0.5333 0.1780
F9 F 0.7427 0.2598 0.9626
F10 F 0.8039 0.2399 0.4649
F11 F 0.9446 0.5224 0.6764
F12 F 0.9576 0.0624 0.1799

Record 12
# V3OF7, relaxed, DFT PBE with a Hubbard U
# ρ in g cm⁻³: 3.232
# V in A^3/atom: 14.1
# Crystal system: orthorhombic
# Final energy in eV per atom: -6.34
# Energy of formation in eV/atom: -3.016
# Offset from the most stable computed form in meV/atom: 7
data_V3OF7
_cell_length_a 4.0249
_cell_length_b 15.4538
_cell_length_c 9.9733
_cell_angle_alpha 90.00
_cell_angle_beta 90.00
_cell_angle_gamma 90.00
_space_group_name_H-M_alt 'C m c m'
_space_group_IT_number 63
_space_group_name_Hall '-C 2c 2'
loop_
_atom_site_label
_atom_site_type_symbol
_atom_site_fract_x
_atom_site_fract_y
_atom_site_fract_z
V1 V 0.0000 0.0399 0.2500
V2 V 0.0000 0.1789 0.5732
O1 O 0.0000 0.2066 0.7500
F1 F 0.0000 0.0526 0.6143
F2 F 0.0000 0.1341 0.1164
F3 F 0.0000 0.3013 0.0342
F4 F 0.0000 0.4623 0.7500

Record 13
# V2OF5, relaxed, DFT PBE with a Hubbard U
# ρ in g cm⁻³: 3.293
# V in A^3/atom: 13.4
# Crystal system: triclinic
# Final energy in eV per atom: -6.33
# Energy of formation in eV/atom: -3.042
# Offset from the most stable computed form in meV/atom: 3
data_V2OF5
_cell_length_a 5.2597
_cell_length_b 5.4322
_cell_length_c 17.3898
_cell_angle_alpha 83.10
_cell_angle_beta 81.35
_cell_angle_gamma 61.10
_space_group_name_H-M_alt 'P 1'
_space_group_IT_number 1
_space_group_name_Hall 'P 1'
loop_
_atom_site_label
_atom_site_type_symbol
_atom_site_fract_x
_atom_site_fract_y
_atom_site_fract_z
V1 V 0.0000 0.0000 0.0000
V2 V 0.0797 0.1360 0.6358
V3 V 0.1933 0.2930 0.2490
V4 V 0.3470 0.4106 0.8808
V5 V 0.4644 0.5157 0.5036
V6 V 0.6055 0.6413 0.1306
V7 V 0.7243 0.7841 0.7528
V8 V 0.8254 0.9268 0.3839
O1 O 0.2312 0.7275 0.9451
O2 O 0.7316 0.1989 0.4394
O3 O 0.9360 0.9897 0.7084
O4 O 0.9775 0.4384 0.1766
F1 F 0.0085 0.0573 0.2931
F2 F 0.0124 0.4579 0.6916
F3 F 0.1801 0.8435 0.5639
F4 F 0.1929 0.2334 0.9688
F5 F 0.2092 0.8602 0.0920
F6 F 0.2222 0.6920 0.4169
F7 F 0.2428 0.3100 0.5467
F8 F 0.4304 0.4868 0.2177
F9 F 0.4376 0.0943 0.8178
F10 F 0.4536 0.1079 0.3369
F11 F 0.4796 0.9376 0.6654
F12 F 0.5030 0.9671 0.1919
F13 F 0.5086 0.5701 0.7918
F14 F 0.6803 0.7288 0.4654
F15 F 0.7026 0.3675 0.5911
F16 F 0.7041 0.3276 0.0653
F17 F 0.7378 0.1991 0.9179
F18 F 0.7536 0.8213 0.0430
F19 F 0.9375 0.5899 0.3216
F20 F 0.9581 0.6140 0.8417

Record 14
# V2OF5, relaxed, DFT PBE with a Hubbard U
# ρ in g cm⁻³: 3.277
# V in A^3/atom: 13.5
# Crystal system: triclinic
# Final energy in eV per atom: -6.33
# Energy of formation in eV/atom: -3.042
# Offset from the most stable computed form in meV/atom: 3
data_V2OF5
_cell_length_a 5.2751
_cell_length_b 5.4383
_cell_length_c 17.3667
_cell_angle_alpha 88.88
_cell_angle_beta 81.83
_cell_angle_gamma 61.22
_space_group_name_H-M_alt 'P 1'
_space_group_IT_number 1
_space_group_name_Hall 'P 1'
loop_
_atom_site_label
_atom_site_type_symbol
_atom_site_fract_x
_atom_site_fract_y
_atom_site_fract_z
V1 V 0.0000 0.0000 0.0000
V2 V 0.0034 0.4991 0.5007
V3 V 0.2555 0.3700 0.1279
V4 V 0.2599 0.8796 0.6331
V5 V 0.4894 0.7797 0.2472
V6 V 0.5028 0.2320 0.7511
V7 V 0.7542 0.5885 0.8811
V8 V 0.7605 0.1467 0.3821
O1 O 0.3119 0.0543 0.1924
O2 O 0.3349 0.0265 0.7058
O3 O 0.7973 0.3153 0.9346
O4 O 0.8356 0.2931 0.4533
F1 F 0.1744 0.7153 0.5441
F2 F 0.1758 0.4129 0.8377
F3 F 0.1784 0.9094 0.3377
F4 F 0.1860 0.2013 0.0387
F5 F 0.2237 0.6818 0.0644
F6 F 0.2315 0.1761 0.5609
F7 F 0.2746 0.5565 0.6889
F8 F 0.3238 0.5510 0.2141
F9 F 0.3291 0.8248 0.9132
F10 F 0.3317 0.3436 0.4132
F11 F 0.6761 0.4560 0.7882
F12 F 0.6768 0.6483 0.5876
F13 F 0.6830 0.9585 0.2949
F14 F 0.6845 0.1676 0.0877
F15 F 0.7176 0.4414 0.3084
F16 F 0.7206 0.9201 0.8165
F17 F 0.7766 0.8238 0.4401
F18 F 0.8229 0.7867 0.9635
F19 F 0.8274 0.5848 0.1647
F20 F 0.8317 0.0804 0.6636